A.
This record from Materials Project describes a geometry-optimized Sr5Si3 structure. The functional is GGA-PBE.

Cell: 9.7785 9.7785 9.7785 Å, 131.21 131.21 71.48°
Last column: nearest neighbours and their distance in Å.
Fractional positions:
Sr (0.0390, 0.1790, 0.5000)  5 Si 3.28-3.43
Sr (0.5390, 0.0390, 0.8600)  5 Si 3.28-3.43
Sr (0.1790, 0.6790, 0.1400)  5 Si 3.28-3.43
Sr (0.4610, 0.9610, 0.1400)  5 Si 3.28-3.43
Sr (0.6790, 0.5390, 0.5000)  5 Si 3.28-3.43
Sr (0.9610, 0.8210, 0.5000)  5 Si 3.28-3.43
Sr (0.3210, 0.4610, 0.5000)  5 Si 3.28-3.43
Sr (0.8210, 0.3210, 0.8600)  5 Si 3.28-3.43
Sr (0.5000, 0.5000, 0.0000)  4 Si 3.29
Sr (0.0000, 0.0000, 0.0000)  4 Si 3.29
Si (0.1077, 0.6077, 0.7153)  1 Si 2.46
Si (0.6077, 0.8923, 0.5000)  1 Si 2.46
Si (0.3923, 0.1077, 0.5000)  1 Si 2.46
Si (0.8923, 0.3923, 0.2847)  1 Si 2.46
Si (0.7500, 0.7500, 0.0000)  8 Sr 3.43
Si (0.2500, 0.2500, 0.0000)  8 Sr 3.43

* calculated density: 3.35 Mg/m³

B.
This record from Materials Project describes a geometry-optimized Sr5Si3 structure. The functional is GGA-PBE.

Cell: 9.4610 9.4610 9.4610 Å, 96.78 96.78 139.80°
Last column: nearest neighbours and their distance in Å.
Fractional positions:
Sr (0.2936, 0.4156, 0.7092)  4 Si 3.24-3.47
Sr (0.7064, 0.5844, 0.2908)  4 Si 3.24-3.47
Sr (0.4156, 0.7064, 0.1220)  4 Si 3.24-3.47
Sr (0.5844, 0.2936, 0.8780)  4 Si 3.24-3.47
Sr (0.9156, 0.7936, 0.7092)  4 Si 3.24-3.47
Sr (0.2064, 0.9156, 0.1220)  4 Si 3.24-3.47
Sr (0.7936, 0.0844, 0.8780)  4 Si 3.24-3.47
Sr (0.0844, 0.2064, 0.2908)  4 Si 3.24-3.47
Sr (0.7500, 0.2500, 0.5000)  4 Si 3.19, 2 Sr 3.25
Sr (0.2500, 0.7500, 0.5000)  4 Si 3.19, 2 Sr 3.25
Si (0.8457, 0.3457, 0.1915)  6 Sr 3.19-3.47
Si (0.6543, 0.8457, 0.5000)  6 Sr 3.19-3.47
Si (0.3457, 0.1543, 0.5000)  6 Sr 3.19-3.47
Si (0.1543, 0.6543, 0.8085)  6 Sr 3.19-3.47
Si (0.7500, 0.7500, 0.0000)  8 Sr 3.24, 2 Si 3.25
Si (0.2500, 0.2500, 0.0000)  8 Sr 3.24, 2 Si 3.25

* calculated density: 3.38 Mg/m³

Which structure is the least stable? The one labeled B.

A.
This record from Materials Project describes a geometry-optimized Tb4Si7 structure. The functional is GGA-PBE.

Cell: 5.6542 5.6542 13.9929 Å, 89.34 89.34 89.41°
Last column: nearest neighbours and their distance in Å.
Fractional positions:
Tb (0.8855, 0.3793, 0.1283)  9 Si 2.92-3.27
Tb (0.6207, 0.1145, 0.8717)  9 Si 2.92-3.27
Tb (0.8726, 0.8726, 0.6262)  12 Si 3.04-3.32
Tb (0.1274, 0.1274, 0.3738)  12 Si 3.04-3.32
Tb (0.3793, 0.8855, 0.1283)  9 Si 2.92-3.27
Tb (0.1145, 0.6207, 0.8717)  9 Si 2.92-3.27
Tb (0.3740, 0.3740, 0.6297)  12 Si 3.01-3.29
Tb (0.6260, 0.6260, 0.3703)  12 Si 3.01-3.29
Si (0.8631, 0.3776, 0.7129)  3 Si 2.36-2.41
Si (0.6224, 0.1369, 0.2871)  3 Si 2.36-2.41
Si (0.8800, 0.8800, 0.2021)  3 Si 2.37-2.39
Si (0.1200, 0.1200, 0.7979)  3 Si 2.37-2.39
Si (0.3776, 0.8631, 0.7129)  3 Si 2.36-2.41
Si (0.1369, 0.6224, 0.2871)  3 Si 2.36-2.41
Si (0.3815, 0.3815, 0.1844)  2 Si 2.41
Si (0.6185, 0.6185, 0.8156)  2 Si 2.41
Si (0.8740, 0.3741, 0.5440)  3 Si 2.35-2.36
Si (0.6259, 0.1260, 0.4560)  3 Si 2.35-2.36
Si (0.8570, 0.8570, 0.0322)  2 Si 2.39-2.45
Si (0.1430, 0.1430, 0.9678)  2 Si 2.39-2.45
Si (0.3741, 0.8740, 0.5440)  3 Si 2.35-2.36
Si (0.1260, 0.6259, 0.4560)  3 Si 2.35-2.36

* calculated density: 6.18 Mg/m³

B.
This record from Materials Project describes a geometry-optimized Tb4Si7 structure. The functional is GGA-PBE.

Cell: 4.1029 3.9952 13.6215 Å, 90.00 89.77 90.00°
Last column: nearest neighbours and their distance in Å.
Fractional positions:
Tb (0.0107, 0.7500, 0.3764)  12 Si 3.04-3.25
Tb (0.5178, 0.2500, 0.8730)  10 Si 3.03-3.16
Tb (0.5162, 0.7500, 0.1213)  12 Si 3.06-3.13
Tb (0.0080, 0.2500, 0.6225)  8 Si 2.93-2.99
Si (0.5132, 0.2500, 0.2912)  3 Si 2.33-2.35
Si (0.0274, 0.7500, 0.7793)  1 Si 2.31
Si (0.0145, 0.2500, 0.2079)  3 Si 2.31-2.35
Si (0.5093, 0.2500, 0.4626)  3 Si 2.33-2.41
Si (0.0130, 0.7500, 0.9488)  3 Si 2.31-2.34
Si (0.0196, 0.2500, 0.0383)  3 Si 2.31-2.34
Si (0.5083, 0.7500, 0.5610)  2 Si 2.41

* calculated density: 6.19 Mg/m³

Which structure is the least stable? The one labeled B.

A.
This record from Materials Project describes a geometry-optimized U3Si structure. The functional is GGA-PBE.

Cell: 6.0198 6.0198 6.0198 Å, 120.25 120.25 89.56°
Last column: nearest neighbours and their distance in Å.
Fractional positions:
U (0.7215, 0.7215, 0.0000)  8 U 2.98-3.07, 4 Si 3.01
U (0.2785, 0.2785, 0.0000)  8 U 2.98-3.07, 4 Si 3.01
U (0.2290, 0.7710, 0.0000)  6 U 2.75-3.07, 4 Si 3.02
U (0.7710, 0.2290, 0.0000)  6 U 2.75-3.07, 4 Si 3.02
U (0.2290, 0.2290, 0.4579)  6 U 2.75-3.07, 4 Si 3.02
U (0.7710, 0.7710, 0.5421)  6 U 2.75-3.07, 4 Si 3.02
Si (0.2500, 0.7500, 0.5000)  12 U 3.01-3.02
Si (0.7500, 0.2500, 0.5000)  12 U 3.01-3.02

* calculated density: 16.04 Mg/m³

B.
This record from Materials Project describes a geometry-optimized U3Si structure. The functional is GGA-PBE.

Cell: 4.2548 4.2548 4.2548 Å, 90.00 90.00 90.00°
Last column: nearest neighbours and their distance in Å.
Fractional positions:
U (0.5000, 0.5000, 0.0000)  8 U 3.01, 4 Si 3.01
U (0.5000, 0.0000, 0.5000)  8 U 3.01, 4 Si 3.01
U (0.0000, 0.5000, 0.5000)  8 U 3.01, 4 Si 3.01
Si (0.0000, 0.0000, 0.0000)  12 U 3.01

* calculated density: 16.00 Mg/m³

Which structure is the least stable? The one labeled B.

A.
This record from Materials Project describes a geometry-optimized V6Si5 structure. The functional is GGA-PBE.

Cell: 4.9336 8.0481 8.8153 Å, 117.16 106.25 90.00°
Last column: nearest neighbours and their distance in Å.
Fractional positions:
V (0.6512, 0.6512, 0.3024)  7 Si 2.55-2.70, 4 V 2.78
V (0.3488, 0.3488, 0.6976)  7 Si 2.55-2.70, 4 V 2.78
V (0.7532, 0.0000, 0.0000)  2 V 2.44-2.50, 4 Si 2.53
V (0.2468, 0.0000, 0.0000)  2 V 2.44-2.50, 4 Si 2.53
V (0.0000, 0.5000, 0.5000)  6 Si 2.43-2.66, 2 V 2.47
V (0.5000, 0.0000, 0.5000)  6 Si 2.43-2.66, 2 V 2.47
V (0.0000, 0.0000, 0.5000)  6 Si 2.43-2.66, 2 V 2.47
V (0.5000, 0.5000, 0.5000)  6 Si 2.43-2.66, 2 V 2.47
V (0.9127, 0.6329, 0.8253)  6 Si 2.54-2.58, 3 V 2.60-2.73
V (0.9127, 0.1924, 0.8253)  6 Si 2.54-2.58, 3 V 2.60-2.73
V (0.0873, 0.8076, 0.1747)  6 Si 2.54-2.58, 3 V 2.60-2.73
V (0.0873, 0.3671, 0.1747)  6 Si 2.54-2.58, 3 V 2.60-2.73
Si (0.8326, 0.8326, 0.6653)  9 V 2.55-2.77
Si (0.1674, 0.1674, 0.3347)  9 V 2.55-2.77
Si (0.7875, 0.2875, 0.5751)  8 V 2.43-2.63
Si (0.2125, 0.7125, 0.4249)  8 V 2.43-2.63
Si (0.7422, 0.5000, 0.0000)  2 Si 2.39-2.54, 6 V 2.54-2.55
Si (0.2578, 0.5000, 0.0000)  2 Si 2.39-2.54, 6 V 2.54-2.55
Si (0.6051, 0.2963, 0.2101)  7 V 2.53-2.58
Si (0.6051, 0.9138, 0.2101)  7 V 2.53-2.58
Si (0.3949, 0.0862, 0.7899)  7 V 2.53-2.58
Si (0.3949, 0.7037, 0.7899)  7 V 2.53-2.58

* calculated density: 5.01 Mg/m³

B.
This record from Materials Project describes a geometry-optimized V6Si5 structure. The functional is GGA-PBE.

Cell: 9.1244 9.1244 9.1244 Å, 149.24 131.61 58.44°
Last column: nearest neighbours and their distance in Å.
Fractional positions:
V (0.3102, 0.0602, 0.7500)  2 V 2.42, 6 Si 2.44-2.56
V (0.6898, 0.4398, 0.7500)  2 V 2.42, 6 Si 2.44-2.56
V (0.6898, 0.9398, 0.2500)  2 V 2.42, 6 Si 2.44-2.56
V (0.3102, 0.5602, 0.2500)  2 V 2.42, 6 Si 2.44-2.56
V (0.2571, 0.1435, 0.1136)  7 Si 2.55-2.75
V (0.7429, 0.8565, 0.8864)  7 Si 2.55-2.75
V (0.9702, 0.3565, 0.6136)  7 Si 2.55-2.75
V (0.0298, 0.6435, 0.3864)  7 Si 2.55-2.75
V (0.6817, 0.4348, 0.2469)  5 Si 2.37-2.52
V (0.3183, 0.5652, 0.7531)  5 Si 2.37-2.52
V (0.8121, 0.0652, 0.7469)  5 Si 2.37-2.52
V (0.1879, 0.9348, 0.2531)  5 Si 2.37-2.52
Si (0.0000, 0.7500, 0.7500)  2 Si 2.42, 4 V 2.47
Si (0.0000, 0.2500, 0.2500)  2 Si 2.42, 4 V 2.47
Si (0.5839, 0.2861, 0.2978)  7 V 2.40-2.66
Si (0.4161, 0.7139, 0.7022)  7 V 2.40-2.66
Si (0.0117, 0.2139, 0.7978)  7 V 2.40-2.66
Si (0.9883, 0.7861, 0.2022)  7 V 2.40-2.66
Si (0.4736, 0.0638, 0.4098)  5 V 2.37-2.55, 1 Si 2.44
Si (0.5264, 0.9362, 0.5902)  5 V 2.37-2.55, 1 Si 2.44
Si (0.3459, 0.4362, 0.9098)  5 V 2.37-2.55, 1 Si 2.44
Si (0.6541, 0.5638, 0.0902)  5 V 2.37-2.55, 1 Si 2.44

* calculated density: 5.14 Mg/m³

Which structure is the least stable? The one labeled A.

A.
This record from Materials Project describes a geometry-optimized Si2W structure. The functional is GGA-PBE.

Cell: 4.6169 4.6169 6.6532 Å, 90.00 90.00 120.00°
Last column: nearest neighbours and their distance in Å.
Fractional positions:
Si (0.1636, 0.8364, 0.1667)  5 Si 2.57-2.69, 5 W 2.59-2.69
Si (0.8364, 0.6727, 0.8333)  5 Si 2.57-2.69, 5 W 2.59-2.69
Si (0.3273, 0.1636, 0.5000)  5 Si 2.57-2.69, 5 W 2.59-2.69
Si (0.8364, 0.1636, 0.1667)  5 Si 2.57-2.69, 5 W 2.59-2.69
Si (0.1636, 0.3273, 0.8333)  5 Si 2.57-2.69, 5 W 2.59-2.69
Si (0.6727, 0.8364, 0.5000)  5 Si 2.57-2.69, 5 W 2.59-2.69
W (0.0000, 0.5000, 0.5000)  10 Si 2.59-2.69
W (0.5000, 0.0000, 0.8333)  10 Si 2.59-2.69
W (0.5000, 0.5000, 0.1667)  10 Si 2.59-2.69

* calculated density: 9.74 Mg/m³

B.
This record from Materials Project describes a geometry-optimized Si2W structure. The functional is GGA-PBE.

Cell: 4.5500 4.5500 4.5500 Å, 138.37 138.37 60.33°
Last column: nearest neighbours and their distance in Å.
Fractional positions:
Si (0.3349, 0.3349, 0.0000)  5 Si 2.60-2.65, 5 W 2.63-2.64
Si (0.6651, 0.6651, 0.0000)  5 Si 2.60-2.65, 5 W 2.63-2.64
W (0.0000, 0.0000, 0.0000)  10 Si 2.63-2.64

* calculated density: 9.69 Mg/m³

Which structure is the least stable? The one labeled A.